A geometry-optimized Rb3TaS4 structure. Source: the Materials Project database, functional r2SCAN.

Geometry as POSCAR:
```
Rb3TaS4
1.0
9.648 0.000 0.000
0.000 11.128 0.000
0.000 0.000 9.740
Rb Ta S
12 4 16
Direct
0.053 0.043 0.211
0.053 0.457 0.211
0.141 0.750 0.420
0.359 0.250 0.920
0.447 0.543 0.711
0.447 0.957 0.711
0.553 0.043 0.289
0.553 0.457 0.289
0.641 0.750 0.080
0.859 0.250 0.580
0.947 0.543 0.789
0.947 0.957 0.789
0.218 0.750 0.986
0.282 0.250 0.486
0.718 0.750 0.514
0.782 0.250 0.014
0.001 0.750 0.080
0.167 0.081 0.551
0.167 0.419 0.551
0.197 0.750 0.753
0.303 0.250 0.253
0.333 0.581 0.051
0.333 0.919 0.051
0.499 0.250 0.580
0.501 0.750 0.420
0.667 0.081 0.949
0.667 0.419 0.949
0.697 0.750 0.747
0.803 0.250 0.247
0.833 0.581 0.449
0.833 0.919 0.449
0.999 0.250 0.920
```

DFT total energy   -134.41 eV per formula unit
Total moment   0.00 μB/cell
Space group   Pnma, No. 62
E_form   -1147 kJ/mol of formula units

=====

A geometry-optimized BaSi2Ni2 structure. Source: the Materials Project database, functional r2SCAN.

Geometry as POSCAR:
```
BaSi2Ni2
1.0
3.226 -2.673 0.000
3.226 2.673 0.000
0.000 0.000 11.498
Ba Si Ni
2 4 4
Direct
0.204 0.796 0.750
0.796 0.204 0.250
0.311 0.689 0.064
0.311 0.689 0.436
0.689 0.311 0.564
0.689 0.311 0.936
0.204 0.204 0.000
0.204 0.204 0.500
0.796 0.796 0.000
0.796 0.796 0.500
```

DFT total energy   -70.83 eV per formula unit
Total moment   0.00 μB/cell
Space group   Cmcm, No. 63
E_form   -272 kJ/mol of formula units

=====

A geometry-optimized Y2Au5F21 structure. Source: the Materials Project database, functional r2SCAN.

Geometry as POSCAR:
```
Y2Au5F21
1.0
8.971 0.000 0.000
0.000 7.942 0.000
-8.687 0.000 11.837
Y Au F
4 10 42
Direct
0.186 0.172 0.001
0.186 0.828 0.501
0.814 0.172 0.499
0.814 0.828 0.999
0.128 0.325 0.401
0.128 0.675 0.901
0.308 0.062 0.793
0.308 0.938 0.293
0.500 0.472 0.750
0.500 0.528 0.250
0.692 0.062 0.707
0.692 0.938 0.207
0.872 0.325 0.099
0.872 0.675 0.599
0.000 0.000 0.000
0.000 0.000 0.500
0.017 0.327 0.038
0.017 0.673 0.538
0.087 0.182 0.678
0.087 0.818 0.178
0.120 0.432 0.907
0.120 0.568 0.407
0.139 0.080 0.392
0.139 0.920 0.892
0.257 0.334 0.335
0.257 0.666 0.835
0.307 0.089 0.189
0.307 0.911 0.689
0.310 0.209 0.899
0.310 0.791 0.399
0.396 0.360 0.130
0.396 0.640 0.630
0.397 0.299 0.637
0.397 0.701 0.137
0.463 0.040 0.083
0.463 0.960 0.583
0.537 0.040 0.417
0.537 0.960 0.917
0.603 0.299 0.863
0.603 0.701 0.363
0.604 0.360 0.370
0.604 0.640 0.870
0.690 0.209 0.601
0.690 0.791 0.101
0.693 0.089 0.311
0.693 0.911 0.811
0.743 0.334 0.165
0.743 0.666 0.665
0.861 0.080 0.108
0.861 0.920 0.608
0.880 0.432 0.593
0.880 0.568 0.093
0.913 0.182 0.822
0.913 0.818 0.322
0.983 0.327 0.462
0.983 0.673 0.962
```

DFT total energy   -417.45 eV per formula unit
Total moment   0.00 μB/cell
Space group   P2/c, No. 13
E_form   -5621 kJ/mol of formula units